No. 1
NaSi2Pd3 | r2SCAN | relaxed

Properties
- M_tot (μB per cell) = 0.0
- calculated formation energy (kJ/mol of atoms) = -61
- E (eV per atom) = -15.634

Cell: 5.709 6.666 6.666 Å, 63.89 64.65 64.65°
Sites, in units of the cell vectors:
Si  0.383  0.690  0.690
Si  0.595  0.844  0.844
Si  0.283  0.156  0.156
Si  0.763  0.310  0.310
Pd  0.495  0.050  0.451
Pd  0.997  0.549  0.950
Pd  0.495  0.451  0.050
Pd  0.502  0.283  0.717
Pd  0.997  0.950  0.549
Pd  0.502  0.717  0.283
Na  0.955  0.000  0.000
Na  0.018  0.500  0.500

***

No. 2
NdPt5 | r2SCAN | relaxed

Properties
- M_tot (μB per cell) = 0.0
- calculated formation energy (kJ/mol of atoms) = -76
- E (eV per atom) = -48.602

Cell: 5.387 5.387 4.405 Å, 90.00 90.00 120.00°
Sites, in units of the cell vectors:
Pt  0.667  0.333  0.000
Pt  0.500  0.500  0.500
Pt  0.500  0.000  0.500
Pt  0.333  0.667  0.000
Pt  0.000  0.500  0.500
Nd  0.000  0.000  0.000

***

No. 3
Na3Hg | r2SCAN | relaxed

Properties
- M_tot (μB per cell) = 0.0
- calculated formation energy (kJ/mol of atoms) = -13
- E (eV per atom) = -15.153

Cell: 6.929 6.929 5.443 Å, 90.00 90.00 120.00°
Sites, in units of the cell vectors:
Na  0.825  0.650  0.750
Na  0.650  0.825  0.250
Na  0.175  0.350  0.250
Na  0.350  0.175  0.750
Na  0.175  0.825  0.250
Na  0.825  0.175  0.750
Hg  0.333  0.667  0.750
Hg  0.667  0.333  0.250

***

No. 4
Bi2SeO5 | r2SCAN | relaxed

Properties
- M_tot (μB per cell) = 0.0
- calculated formation energy (kJ/mol of atoms) = -119
- E (eV per atom) = -21.378

Cell: 8.623 8.623 11.397 Å, 90.00 90.00 142.84°
Sites, in units of the cell vectors:
Se  0.069  0.895  0.141
Se  0.569  0.395  0.859
Se  0.395  0.569  0.141
Se  0.895  0.069  0.859
O  0.886  0.561  0.509
O  0.050  0.347  0.921
O  0.937  0.625  0.202
O  0.271  0.271  0.500
O  0.061  0.386  0.509
O  0.167  0.059  0.267
O  0.347  0.050  0.079
O  0.561  0.886  0.491
O  0.639  0.139  0.298
O  0.559  0.667  0.267
O  0.437  0.125  0.798
O  0.771  0.771  0.500
O  0.125  0.437  0.202
O  0.847  0.550  0.921
O  0.667  0.559  0.733
O  0.059  0.167  0.733
O  0.139  0.639  0.702
O  0.625  0.937  0.798
O  0.550  0.847  0.079
O  0.386  0.061  0.491
Bi  0.404  0.574  0.611
Bi  0.273  0.773  0.383
Bi  0.904  0.074  0.389
Bi  0.773  0.273  0.617
Bi  0.746  0.246  0.124
Bi  0.574  0.404  0.389
Bi  0.246  0.746  0.876
Bi  0.074  0.904  0.611

***

No. 5
Hf3Si3Ni2 | r2SCAN | relaxed

Properties
- M_tot (μB per cell) = 0.0
- calculated formation energy (kJ/mol of atoms) = -87
- E (eV per atom) = -24.124

Cell: 3.819 5.251 12.851 Å, 90.00 90.00 111.33°
Sites, in units of the cell vectors:
Ni  0.281  0.562  0.411
Ni  0.281  0.562  0.089
Ni  0.719  0.438  0.589
Ni  0.719  0.438  0.911
Hf  0.574  0.147  0.382
Hf  0.134  0.268  0.750
Hf  0.574  0.147  0.118
Hf  0.866  0.732  0.250
Hf  0.426  0.853  0.618
Hf  0.426  0.853  0.882
Si  0.112  0.224  0.541
Si  0.839  0.679  0.750
Si  0.161  0.321  0.250
Si  0.112  0.224  0.959
Si  0.888  0.776  0.459
Si  0.888  0.776  0.041

***

No. 6
Na5Ga3F14 | r2SCAN | relaxed

Properties
- M_tot (μB per cell) = 0.0
- calculated formation energy (kJ/mol of atoms) = -287
- E (eV per atom) = -7.334

Cell: 7.167 7.232 12.499 Å, 55.37 90.00 90.00°
Sites, in units of the cell vectors:
Ga  0.500  0.500  0.500
Ga  0.000  0.500  0.000
Ga  0.500  0.000  0.000
Ga  0.000  0.000  0.500
Ga  0.500  0.000  0.500
Ga  0.000  0.000  0.000
F  0.747  0.025  0.547
F  0.551  0.190  0.323
F  0.006  0.316  0.382
F  0.933  0.956  0.371
F  0.247  0.975  0.953
F  0.433  0.044  0.129
F  0.567  0.956  0.871
F  0.753  0.025  0.047
F  0.416  0.250  0.498
F  0.916  0.750  0.002
F  0.067  0.044  0.629
F  0.163  0.395  0.141
F  0.205  0.653  0.889
F  0.584  0.750  0.502
F  0.337  0.395  0.641
F  0.051  0.810  0.177
F  0.494  0.316  0.882
F  0.253  0.975  0.453
F  0.837  0.605  0.859
F  0.705  0.347  0.611
F  0.449  0.810  0.677
F  0.506  0.684  0.118
F  0.994  0.684  0.618
F  0.084  0.250  0.998
F  0.295  0.653  0.389
F  0.663  0.605  0.359
F  0.795  0.347  0.111
F  0.949  0.190  0.823
Na  0.000  0.500  0.500
Na  0.266  0.515  0.262
Na  0.234  0.515  0.762
Na  0.194  0.013  0.251
Na  0.694  0.987  0.249
Na  0.766  0.485  0.238
Na  0.806  0.987  0.749
Na  0.500  0.500  0.000
Na  0.306  0.013  0.751
Na  0.734  0.485  0.738